First-principles (PBE) data for a geometry-optimized Lu6Pb5 structure, as listed in the Materials Project database.

Geometry as POSCAR:
```
Lu6Pb5
1.0
-5.199 -3.093 2.437
-4.764 1.908 -7.743
8.185 -8.017 -1.439
Lu Pb
12 10
Direct
0.440 0.690 0.381
0.142 0.258 0.283
0.858 0.742 0.717
0.358 0.974 0.717
0.060 0.310 0.619
0.560 0.310 0.619
0.940 0.690 0.381
0.064 0.806 0.128
0.642 0.026 0.283
0.436 0.678 0.872
0.936 0.194 0.872
0.564 0.322 0.128
0.750 0.000 0.000
0.069 0.471 0.139
0.789 0.986 0.578
0.431 0.332 0.861
0.211 0.014 0.422
0.250 0.000 0.000
0.569 0.668 0.139
0.289 0.592 0.578
0.931 0.529 0.861
0.711 0.408 0.422
```



First-principles (PBE) data for a geometry-optimized Lu2Pd2Pb structure, as listed in the Materials Project database.

Geometry as POSCAR:
```
Lu2Pd2Pb
1.0
7.884 0.000 0.000
0.000 7.884 0.000
0.000 0.000 3.508
Lu Pd Pb
4 4 2
Direct
0.167 0.333 0.500
0.833 0.667 0.500
0.667 0.167 0.500
0.333 0.833 0.500
0.873 0.373 0.000
0.627 0.873 0.000
0.127 0.627 0.000
0.373 0.127 0.000
0.000 0.000 0.000
0.500 0.500 0.000
```



Respective ΔH_f (0 K) values: -4.8, -4.2 eV per formula unit.
Respective E values: -4.590, -5.465 eV per atom.